# SnO | the Materials Project database | GGA-PBE | optimized geometry
data_SnO
_chemical_formula_sum 'Sn40 O40'
_cell_length_a 11.746
_cell_length_b 12.839
_cell_length_c 11.717
_cell_angle_alpha 89.05
_cell_angle_beta 92.05
_cell_angle_gamma 88.32
_symmetry_space_group_name_H-M 'P 1'
_symmetry_Int_Tables_number 1
loop_
_symmetry_equiv_pos_as_xyz
'x,y,z'
loop_
_atom_site_label
_atom_site_type_symbol
_atom_site_fract_x
_atom_site_fract_y
_atom_site_fract_z
_atom_site_occupancy
O1 O 0.827 0.760 0.549 1
Sn1 Sn 0.943 0.769 0.695 1
O2 O 0.937 0.312 0.866 1
O3 O 0.063 0.765 0.562 1
Sn2 Sn 0.195 0.278 0.007 1
O4 O 0.685 0.677 0.223 1
O5 O 0.594 0.663 0.987 1
Sn3 Sn 0.171 0.946 0.397 1
O6 O 0.514 0.176 0.800 1
O7 O 0.774 0.491 0.490 1
Sn4 Sn 0.929 0.000 0.492 1
Sn5 Sn 0.381 0.291 0.764 1
Sn6 Sn 0.264 0.966 0.674 1
O8 O 0.438 0.775 0.801 1
Sn7 Sn 0.935 0.979 0.185 1
O9 O 0.102 0.901 0.232 1
O10 O 0.199 0.652 0.766 1
O11 O 0.861 0.867 0.312 1
Sn8 Sn 0.616 0.562 0.534 1
Sn9 Sn 0.941 0.734 0.411 1
Sn10 Sn 0.720 0.332 0.605 1
Sn11 Sn 0.332 0.435 0.264 1
Sn12 Sn 0.510 0.674 0.134 1
O12 O 0.011 0.383 0.587 1
O13 O 0.492 0.370 0.897 1
O14 O 0.821 0.914 0.707 1
O15 O 0.919 0.084 0.883 1
Sn13 Sn 0.030 0.212 0.388 1
Sn14 Sn 0.048 0.965 0.881 1
O16 O 0.300 0.200 0.894 1
Sn15 Sn 0.919 0.209 0.005 1
Sn16 Sn 0.915 0.524 0.599 1
O17 O 0.936 0.081 0.330 1
O18 O 0.214 0.503 0.129 1
O19 O 0.344 0.319 0.113 1
Sn17 Sn 0.789 0.070 0.749 1
Sn18 Sn 0.657 0.035 0.990 1
Sn19 Sn 0.951 0.663 0.001 1
Sn20 Sn 0.523 0.636 0.831 1
O20 O 0.974 0.157 0.551 1
O21 O 0.327 0.923 0.285 1
Sn21 Sn 0.243 0.871 0.131 1
O22 O 0.358 0.591 0.947 1
O23 O 0.243 0.413 0.909 1
Sn22 Sn 0.320 0.202 0.473 1
O24 O 0.944 0.589 0.162 1
Sn23 Sn 0.371 0.048 0.918 1
Sn24 Sn 0.685 0.857 0.256 1
O25 O 0.742 0.961 0.127 1
Sn25 Sn 0.559 0.079 0.394 1
O26 O 0.738 0.413 0.981 1
Sn26 Sn 0.376 0.106 0.190 1
O27 O 0.185 0.113 0.400 1
O28 O 0.263 0.029 0.065 1
Sn27 Sn 0.175 0.419 0.522 1
O29 O 0.473 0.504 0.154 1
Sn28 Sn 0.526 0.060 0.678 1
Sn29 Sn 0.869 0.463 0.889 1
O30 O 0.595 0.146 0.548 1
Sn30 Sn 0.657 0.303 0.872 1
Sn31 Sn 0.057 0.445 0.188 1
O31 O 0.710 0.194 0.018 1
O32 O 0.803 0.470 0.723 1
O33 O 0.569 0.419 0.585 1
Sn32 Sn 0.673 0.832 0.619 1
O34 O 0.345 0.106 0.628 1
Sn33 Sn 0.052 0.236 0.691 1
O35 O 0.602 0.910 0.467 1
Sn34 Sn 0.181 0.567 0.933 1
O36 O 0.108 0.033 0.737 1
Sn35 Sn 0.213 0.661 0.587 1
Sn36 Sn 0.779 0.540 0.227 1
Sn37 Sn 0.727 0.271 0.191 1
O37 O 0.665 0.166 0.297 1
O38 O 0.316 0.907 0.509 1
Sn38 Sn 0.276 0.791 0.844 1
O39 O 0.493 0.067 0.055 1
O40 O 0.147 0.453 0.344 1
Sn39 Sn 0.436 0.827 0.408 1
Sn40 Sn 0.399 0.444 0.012 1
# total DFT energy (no corrections) = -442.091 eV per cell
# space-group type = P1, No. 1
# DFT formation energy = -1.3909 eV per atom
# ρ = 5.070 Mg/m³